{"formula": "Na2CrPCO7", "functional": "PBE with a Hubbard U", "state": "optimized geometry", "cell": [[0.147, 0.000, 5.239], [9.015, 6.539, 0.028], [-9.015, 6.539, -0.028]], "species": ["Na", "Na", "Na", "Na", "Na", "Na", "Na", "Na", "Cr", "Cr", "Cr", "Cr", "P", "P", "P", "P", "C", "C", "C", "C", "O", "O", "O", "O", "O", "O", "O", "O", "O", "O", "O", "O", "O", "O", "O", "O", "O", "O", "O", "O", "O", "O", "O", "O", "O", "O", "O", "O"], "frac_coords": [[0.239, 0.362, 0.129], [0.239, 0.862, 0.629], [0.239, 0.121, 0.888], [0.239, 0.621, 0.388], [0.761, 0.638, 0.871], [0.761, 0.138, 0.371], [0.761, 0.879, 0.112], [0.761, 0.379, 0.612], [0.786, 0.051, 0.699], [0.214, 0.949, 0.301], [0.786, 0.551, 0.199], [0.214, 0.449, 0.801], [0.717, 0.337, 0.913], [0.717, 0.837, 0.413], [0.283, 0.663, 0.087], [0.283, 0.163, 0.587], [0.724, 0.416, 0.334], [0.724, 0.916, 0.834], [0.276, 0.584, 0.666], [0.276, 0.084, 0.166], [0.309, 0.152, 0.098], [0.309, 0.652, 0.598], [0.691, 0.848, 0.902], [0.691, 0.348, 0.402], [0.949, 0.447, 0.303], [0.949, 0.947, 0.803], [0.051, 0.553, 0.697], [0.051, 0.053, 0.197], [0.535, 0.467, 0.283], [0.535, 0.967, 0.783], [0.465, 0.533, 0.717], [0.465, 0.033, 0.217], [0.150, 0.587, 0.163], [0.150, 0.087, 0.663], [0.850, 0.413, 0.837], [0.850, 0.913, 0.337], [0.420, 0.352, 0.899], [0.420, 0.852, 0.399], [0.580, 0.648, 0.101], [0.580, 0.148, 0.601], [0.797, 0.196, 0.863], [0.797, 0.696, 0.363], [0.798, 0.387, 0.054], [0.798, 0.887, 0.554], [0.202, 0.613, 0.946], [0.202, 0.113, 0.446], [0.203, 0.804, 0.137], [0.203, 0.304, 0.637]], "energy_corrected_mp2020_ev_per_cell": -361.4, "ef_kj_per_mol_atoms": -231, "total_energy_ev_per_atom": -6.96, "magnetic_moment_mub_per_fu": 0.0}